TmSiPt | Materials Project | r²SCAN | relaxed; energy of formation = -1317 meV/atom; symmetry = Pnma (62)
1.0
4.247 0.000 0.000
0.000 6.883 0.000
0.000 0.000 7.379
Tm Si Pt
4 4 4
Cartesian
1.062 3.417 5.181
1.062 6.859 5.887
3.185 3.465 2.198
3.185 0.024 1.492
1.062 5.588 3.041
1.062 2.147 0.648
3.185 1.294 4.338
3.185 4.735 6.731
1.062 1.383 3.064
1.062 4.824 0.626
3.185 5.499 4.315
3.185 2.058 6.753